No. 1
{"formula": "CdI2", "functional": "PBE", "state": "relaxed", "formation_enthalpy_0k_ev_per_fu": -2.51, "dft_energy_ev_per_atom": -1.909, "energy_mp2020_ev_per_atom": -2.161, "cell": [[2.985, 1.643, -2.690], [-3.415, -2.152, -1.600], [-53.139, 88.145, -5.130]], "species": ["I", "I", "I", "I", "I", "I", "I", "I", "I", "I", "I", "I", "I", "I", "I", "I", "I", "I", "I", "I", "I", "I", "I", "I", "I", "I", "I", "I", "Cd", "Cd", "Cd", "Cd", "Cd", "Cd", "Cd", "Cd", "Cd", "Cd", "Cd", "Cd", "Cd", "Cd"], "frac_coords": [[0.000, 0.000, 0.358], [0.333, 0.667, 0.606], [0.000, 0.000, 0.215], [0.333, 0.667, 0.177], [0.000, 0.000, 0.430], [0.000, 0.000, 0.573], [0.000, 0.000, 0.930], [0.667, 0.333, 0.749], [0.667, 0.333, 0.249], [0.333, 0.667, 0.035], [0.000, 0.000, 0.001], [0.000, 0.000, 0.073], [0.000, 0.000, 0.644], [0.000, 0.000, 0.715], [0.000, 0.000, 0.144], [0.000, 0.000, 0.287], [0.000, 0.000, 0.501], [0.667, 0.333, 0.463], [0.667, 0.333, 0.677], [0.667, 0.333, 0.106], [0.000, 0.000, 0.787], [0.667, 0.333, 0.535], [0.667, 0.333, 0.320], [0.000, 0.000, 0.858], [0.667, 0.333, 0.392], [0.667, 0.333, 0.820], [0.667, 0.333, 0.892], [0.667, 0.333, 0.963], [0.333, 0.667, 0.732], [0.667, 0.333, 0.589], [0.667, 0.333, 0.161], [0.333, 0.667, 0.446], [0.667, 0.333, 0.018], [0.333, 0.667, 0.089], [0.333, 0.667, 0.875], [0.333, 0.667, 0.946], [0.333, 0.667, 0.518], [0.333, 0.667, 0.232], [0.333, 0.667, 0.661], [0.333, 0.667, 0.804], [0.333, 0.667, 0.304], [0.333, 0.667, 0.375]]}

***

No. 2
{"formula": "CdI2", "functional": "PBE", "state": "relaxed", "formation_enthalpy_0k_ev_per_fu": -2.52, "dft_energy_ev_per_atom": -1.910, "energy_mp2020_ev_per_atom": -2.163, "cell": [[-4.187, -1.091, -0.288], [2.804, -2.662, 1.964], [-21.821, 55.607, 106.490]], "species": ["I", "I", "I", "I", "I", "I", "I", "I", "I", "I", "I", "I", "I", "I", "I", "I", "I", "I", "I", "I", "I", "I", "I", "I", "I", "I", "I", "I", "I", "I", "I", "I", "Cd", "Cd", "Cd", "Cd", "Cd", "Cd", "Cd", "Cd", "Cd", "Cd", "Cd", "Cd", "Cd", "Cd", "Cd", "Cd"], "frac_coords": [[0.333, 0.667, 0.752], [0.000, 0.000, 0.251], [0.000, 0.000, 0.627], [0.333, 0.667, 0.655], [0.000, 0.000, 0.377], [0.667, 0.333, 0.717], [0.000, 0.000, 0.064], [0.667, 0.333, 0.092], [0.333, 0.667, 0.155], [0.000, 0.000, 0.564], [0.333, 0.667, 0.877], [0.667, 0.333, 0.592], [0.000, 0.000, 0.314], [0.000, 0.000, 0.689], [0.333, 0.667, 0.030], [0.333, 0.667, 0.530], [0.000, 0.000, 0.814], [0.333, 0.667, 0.405], [0.667, 0.333, 0.467], [0.333, 0.667, 0.280], [0.000, 0.000, 0.502], [0.000, 0.000, 0.189], [0.667, 0.333, 0.342], [0.667, 0.333, 0.967], [0.000, 0.000, 0.439], [0.667, 0.333, 0.905], [0.667, 0.333, 0.780], [0.667, 0.333, 0.217], [0.000, 0.000, 0.939], [0.667, 0.333, 0.842], [0.000, 0.000, 0.126], [0.000, 0.000, 0.002], [0.667, 0.333, 0.141], [0.667, 0.333, 0.391], [0.667, 0.333, 0.016], [0.000, 0.000, 0.891], [0.333, 0.667, 0.828], [0.333, 0.667, 0.578], [0.333, 0.667, 0.703], [0.333, 0.667, 0.953], [0.667, 0.333, 0.266], [0.000, 0.000, 0.766], [0.333, 0.667, 0.078], [0.667, 0.333, 0.641], [0.333, 0.667, 0.203], [0.667, 0.333, 0.516], [0.333, 0.667, 0.328], [0.333, 0.667, 0.453]]}

***

No. 3
{"formula": "CdI2", "functional": "PBE", "state": "relaxed", "formation_enthalpy_0k_ev_per_fu": -2.51, "dft_energy_ev_per_atom": -1.909, "energy_mp2020_ev_per_atom": -2.162, "cell": [[2.449, 0.699, 3.507], [-4.275, -0.575, 0.422], [7.369, -51.098, 5.037]], "species": ["Cd", "Cd", "Cd", "Cd", "Cd", "Cd", "Cd", "I", "I", "I", "I", "I", "I", "I", "I", "I", "I", "I", "I", "I", "I"], "frac_coords": [[0.000, 0.000, 0.464], [0.000, 0.000, 0.893], [0.000, 0.000, 0.179], [0.000, 0.000, 0.321], [0.000, 0.000, 0.036], [0.333, 0.667, 0.607], [0.333, 0.667, 0.750], [0.333, 0.667, 0.860], [0.667, 0.333, 0.926], [0.333, 0.667, 0.145], [0.333, 0.667, 0.288], [0.667, 0.333, 0.069], [0.667, 0.333, 0.783], [0.000, 0.000, 0.717], [0.000, 0.000, 0.574], [0.667, 0.333, 0.212], [0.667, 0.333, 0.640], [0.333, 0.667, 0.002], [0.333, 0.667, 0.431], [0.667, 0.333, 0.355], [0.667, 0.333, 0.498]]}